1.
# Se, optimized geometry, DFT r2SCAN
data_Se
_space_group_name_H-M_alt 'P 1'
_space_group_IT_number 1
_cell_length_a 9.263
_cell_length_b 9.583
_cell_length_c 14.964
_cell_angle_alpha 90.00
_cell_angle_beta 127.68
_cell_angle_gamma 90.00
loop_
_space_group_symop_operation_xyz
'x,y,z'
loop_
_atom_site_label
_atom_site_type_symbol
_atom_site_fract_x
_atom_site_fract_y
_atom_site_fract_z
Se1 Se 0.007 0.097 0.137
Se2 Se 0.007 0.403 0.637
Se3 Se 0.063 0.656 0.142
Se4 Se 0.063 0.844 0.642
Se5 Se 0.080 0.011 0.762
Se6 Se 0.080 0.489 0.262
Se7 Se 0.219 0.135 0.537
Se8 Se 0.219 0.365 0.037
Se9 Se 0.311 0.031 0.229
Se10 Se 0.311 0.469 0.729
Se11 Se 0.398 0.691 0.980
Se12 Se 0.398 0.809 0.480
Se13 Se 0.417 0.194 0.053
Se14 Se 0.417 0.306 0.553
Se15 Se 0.484 0.229 0.332
Se16 Se 0.484 0.271 0.832
Se17 Se 0.516 0.729 0.168
Se18 Se 0.516 0.771 0.668
Se19 Se 0.583 0.694 0.447
Se20 Se 0.583 0.806 0.947
Se21 Se 0.602 0.191 0.520
Se22 Se 0.602 0.309 0.020
Se23 Se 0.689 0.531 0.271
Se24 Se 0.689 0.969 0.771
Se25 Se 0.781 0.635 0.963
Se26 Se 0.781 0.865 0.463
Se27 Se 0.920 0.511 0.738
Se28 Se 0.920 0.989 0.238
Se29 Se 0.937 0.156 0.358
Se30 Se 0.937 0.344 0.858
Se31 Se 0.993 0.597 0.363
Se32 Se 0.993 0.903 0.863
# ΔE to the lowest computed polymorph ... 4 meV/atom
# ρ ... 4.0 g/cm3
# Energy ... -14.31 eV per atom
# ΔE_f ... 0.0 eV per formula unit
# Total moment ... 0.00 μB per formula unit


2.
# Se, optimized geometry, DFT r2SCAN
data_Se
_space_group_name_H-M_alt 'P 1'
_space_group_IT_number 1
_cell_length_a 4.868
_cell_length_b 7.909
_cell_length_c 2.740
_cell_angle_alpha 90.00
_cell_angle_beta 90.00
_cell_angle_gamma 90.00
loop_
_space_group_symop_operation_xyz
'x,y,z'
loop_
_atom_site_label
_atom_site_type_symbol
_atom_site_fract_x
_atom_site_fract_y
_atom_site_fract_z
Se1 Se 0.174 0.099 0.236
Se2 Se 0.326 0.599 0.764
Se3 Se 0.674 0.401 0.764
Se4 Se 0.826 0.901 0.236
# ΔE to the lowest computed polymorph ... 148 meV/atom
# ρ ... 5.0 g/cm3
# Energy ... -14.16 eV per atom
# ΔE_f ... 0.1 eV per formula unit
# Total moment ... 0.00 μB per formula unit


3.
# Se, optimized geometry, DFT r2SCAN
data_Se
_space_group_name_H-M_alt 'P 1'
_space_group_IT_number 1
_cell_length_a 15.318
_cell_length_b 14.785
_cell_length_c 9.446
_cell_angle_alpha 90.00
_cell_angle_beta 93.47
_cell_angle_gamma 90.00
loop_
_space_group_symop_operation_xyz
'x,y,z'
loop_
_atom_site_label
_atom_site_type_symbol
_atom_site_fract_x
_atom_site_fract_y
_atom_site_fract_z
Se1 Se 0.011 0.097 0.267
Se2 Se 0.011 0.403 0.767
Se3 Se 0.016 0.721 0.387
Se4 Se 0.016 0.779 0.887
Se5 Se 0.089 0.167 0.666
Se6 Se 0.089 0.333 0.166
Se7 Se 0.090 0.511 0.648
Se8 Se 0.090 0.989 0.148
Se9 Se 0.183 0.641 0.037
Se10 Se 0.183 0.859 0.537
Se11 Se 0.197 0.190 0.505
Se12 Se 0.197 0.310 0.005
Se13 Se 0.228 0.713 0.609
Se14 Se 0.228 0.787 0.109
Se15 Se 0.229 0.545 0.225
Se16 Se 0.229 0.955 0.725
Se17 Se 0.237 0.004 0.232
Se18 Se 0.237 0.496 0.732
Se19 Se 0.307 0.084 0.058
Se20 Se 0.307 0.416 0.558
Se21 Se 0.312 0.235 0.133
Se22 Se 0.312 0.265 0.633
Se23 Se 0.354 0.679 0.490
Se24 Se 0.354 0.821 0.990
Se25 Se 0.355 0.026 0.650
Se26 Se 0.355 0.474 0.150
Se27 Se 0.472 0.150 0.406
Se28 Se 0.472 0.350 0.906
Se29 Se 0.474 0.707 0.649
Se30 Se 0.474 0.793 0.149
Se31 Se 0.479 0.545 0.259
Se32 Se 0.479 0.955 0.759
Se33 Se 0.521 0.045 0.241
Se34 Se 0.521 0.455 0.741
Se35 Se 0.526 0.207 0.851
Se36 Se 0.526 0.293 0.351
Se37 Se 0.528 0.650 0.094
Se38 Se 0.528 0.850 0.594
Se39 Se 0.645 0.526 0.850
Se40 Se 0.645 0.974 0.350
Se41 Se 0.646 0.179 0.010
Se42 Se 0.646 0.321 0.510
Se43 Se 0.688 0.735 0.367
Se44 Se 0.688 0.765 0.867
Se45 Se 0.693 0.584 0.442
Se46 Se 0.693 0.916 0.942
Se47 Se 0.763 0.504 0.268
Se48 Se 0.763 0.996 0.768
Se49 Se 0.771 0.045 0.275
Se50 Se 0.771 0.455 0.775
Se51 Se 0.772 0.213 0.891
Se52 Se 0.772 0.287 0.391
Se53 Se 0.803 0.690 0.995
Se54 Se 0.803 0.810 0.495
Se55 Se 0.817 0.141 0.463
Se56 Se 0.817 0.359 0.963
Se57 Se 0.910 0.011 0.852
Se58 Se 0.910 0.489 0.352
Se59 Se 0.911 0.667 0.834
Se60 Se 0.911 0.833 0.334
Se61 Se 0.984 0.221 0.113
Se62 Se 0.984 0.279 0.613
Se63 Se 0.989 0.597 0.233
Se64 Se 0.989 0.903 0.733
# ΔE to the lowest computed polymorph ... 0 meV/atom
# ρ ... 3.9 g/cm3
# Energy ... -14.31 eV per atom
# ΔE_f ... 0.0 eV per formula unit
# Total moment ... 0.00 μB per formula unit